{"formula": "Pr2NiO4", "functional": "PBE+U", "state": "optimized geometry", "formation_enthalpy_0k_mev_per_atom": -2955, "energy_corrected_mp2020_ev_per_atom": -7.97, "sg": "Cmce, No. 64", "volume_a3_per_atom": 13.6, "lattice": [[2.7231, -6.1567, 0.0000], [2.7231, 6.1567, 0.0000], [0.0000, 0.0000, 5.6980]], "species": ["O", "O", "Pr", "O", "Ni", "O", "Pr", "O", "Pr", "Pr", "O", "O", "Ni", "O"], "fractional_positions": [[0.1789, 0.8211, 0.9315], [0.6789, 0.3211, 0.5685], [0.6369, 0.3631, 0.9836], [0.2697, 0.2303, 0.2500], [0.5000, 0.5000, 0.5000], [0.7697, 0.7303, 0.2500], [0.8631, 0.1369, 0.4836], [0.2303, 0.2697, 0.7500], [0.1369, 0.8631, 0.5164], [0.3631, 0.6369, 0.0164], [0.7303, 0.7697, 0.7500], [0.3211, 0.6789, 0.4315], [0.0000, 0.0000, 0.0000], [0.8211, 0.1789, 0.0685]]}